Entry from the Materials Project database: a relaxed structure of Sc2S3O12 (meta-GGA r2SCAN).

Cell: 9.0965 9.0965 9.0965 Å, 57.70 57.70 57.70°
Last column: nearest neighbours and their distance in Å.
Atoms (fractional coordinates):
Sc 0.1441 0.1441 0.1441  6 O 2.07-2.09
Sc 0.3559 0.3559 0.3559  6 O 2.07-2.09
Sc 0.6441 0.6441 0.6441  6 O 2.07-2.09
Sc 0.8559 0.8559 0.8559  6 O 2.07-2.09
S 0.0365 0.7500 0.4635  4 O 1.46-1.47
S 0.2500 0.5365 0.9635  4 O 1.46-1.47
S 0.4635 0.0365 0.7500  4 O 1.46-1.47
S 0.5365 0.9635 0.2500  4 O 1.46-1.47
S 0.7500 0.4635 0.0365  4 O 1.46-1.47
S 0.9635 0.2500 0.5365  4 O 1.46-1.47
O 0.0085 0.7723 0.6257  1 S 1.47
O 0.0637 0.9138 0.2985  1 S 1.46
O 0.0862 0.7015 0.9363  1 S 1.46
O 0.1257 0.2723 0.5085  1 S 1.47
O 0.2015 0.5862 0.4363  1 S 1.46
O 0.2277 0.3743 0.9915  1 S 1.47
O 0.2723 0.5085 0.1257  1 S 1.47
O 0.2985 0.0637 0.9138  1 S 1.46
O 0.3743 0.9915 0.2277  1 S 1.47
O 0.4138 0.5637 0.7985  1 S 1.46
O 0.4363 0.2015 0.5862  1 S 1.46
O 0.4915 0.8743 0.7277  1 S 1.47
O 0.5085 0.1257 0.2723  1 S 1.47
O 0.5637 0.7985 0.4138  1 S 1.46
O 0.5862 0.4363 0.2015  1 S 1.46
O 0.6257 0.0085 0.7723  1 S 1.47
O 0.7015 0.9363 0.0862  1 S 1.46
O 0.7277 0.4915 0.8743  1 S 1.47
O 0.7723 0.6257 0.0085  1 S 1.47
O 0.7985 0.4138 0.5637  1 S 1.46
O 0.8743 0.7277 0.4915  1 S 1.47
O 0.9138 0.2985 0.0637  1 S 1.46
O 0.9363 0.0862 0.7015  1 S 1.46
O 0.9915 0.2277 0.3743  1 S 1.47

Output
Energy   -0.340 Ha/atom
Total magnetization   0.0 μB per formula unit

***

Entry from the Materials Project database: a relaxed structure of Li6WO6 (meta-GGA r2SCAN).

Cell: 5.5794 5.5794 5.5794 Å, 61.17 61.17 61.17°
Last column: nearest neighbours and their distance in Å.
Atoms (fractional coordinates):
Li 0.0111 0.5848 0.2207  4 O 1.89-2.03
Li 0.2207 0.0111 0.5848  4 O 1.89-2.03
Li 0.4152 0.7793 0.9889  4 O 1.89-2.03
Li 0.5848 0.2207 0.0111  4 O 1.89-2.03
Li 0.7793 0.9889 0.4152  4 O 1.89-2.03
Li 0.9889 0.4152 0.7793  4 O 1.89-2.03
W 0.5000 0.5000 0.5000  6 O 1.93
O 0.1488 0.7037 0.4004  4 Li 1.89-2.03, 1 W 1.93
O 0.2963 0.5996 0.8512  4 Li 1.89-2.03, 1 W 1.93
O 0.4004 0.1488 0.7037  4 Li 1.89-2.03, 1 W 1.93
O 0.5996 0.8512 0.2963  4 Li 1.89-2.03, 1 W 1.93
O 0.7037 0.4004 0.1488  4 Li 1.89-2.03, 1 W 1.93
O 0.8512 0.2963 0.5996  4 Li 1.89-2.03, 1 W 1.93

Output
Energy   -0.371 Ha/atom
Total magnetization   0.0 μB per formula unit

***

Entry from the Materials Project database: a relaxed structure of LiVF3 (meta-GGA r2SCAN).

Cell: 5.5363 5.5363 5.5363 Å, 55.46 55.46 55.46°
Last column: nearest neighbours and their distance in Å.
Atoms (fractional coordinates):
Li 0.0000 0.0000 0.0000  3 F 1.89
Li 0.5000 0.5000 0.5000  3 F 1.89
V 0.2065 0.2065 0.2065  6 F 2.08
V 0.7065 0.7065 0.7065  6 F 2.08
F 0.1229 0.4199 0.7959  1 Li 1.89, 2 V 2.08
F 0.2959 0.9199 0.6229  1 Li 1.89, 2 V 2.08
F 0.4199 0.7959 0.1229  1 Li 1.89, 2 V 2.08
F 0.6229 0.2959 0.9199  1 Li 1.89, 2 V 2.08
F 0.7959 0.1229 0.4199  1 Li 1.89, 2 V 2.08
F 0.9199 0.6229 0.2959  1 Li 1.89, 2 V 2.08

Output
Energy   -0.303 Ha/atom
Total magnetization   3.0 μB per formula unit

***

Entry from the Materials Project database: a relaxed structure of Ho2CF2 (meta-GGA r2SCAN).

Cell: 3.6320 3.6320 6.2698 Å, 90.00 90.00 120.00°
Last column: nearest neighbours and their distance in Å.
Atoms (fractional coordinates):
Ho 0.3333 0.6667 0.2134  4 F 2.36-2.50, 3 C 2.49
Ho 0.6667 0.3333 0.7866  4 F 2.36-2.50, 3 C 2.49
C 0.0000 0.0000 0.0000  6 Ho 2.49
F 0.3333 0.6667 0.6126  4 Ho 2.36-2.50, 3 F 2.53
F 0.6667 0.3333 0.3874  4 Ho 2.36-2.50, 3 F 2.53

Output
Energy   -0.703 Ha/atom
Total magnetization   0.0 μB per formula unit

***

Entry from the Materials Project database: a relaxed structure of RbRe3Br10 (meta-GGA r2SCAN).

Cell: 9.3184 9.3184 10.5703 Å, 91.65 91.65 72.13°
Last column: nearest neighbours and their distance in Å.
Atoms (fractional coordinates):
Rb 0.2158 0.7842 0.0000  6 Br 3.38-3.71
Rb 0.7842 0.2158 0.0000  6 Br 3.38-3.71
Re 0.1874 0.4091 0.6275  2 Re 2.43-2.46, 4 Br 2.44-2.56
Re 0.2370 0.2370 0.8066  2 Re 2.46, 5 Br 2.48-2.74
Re 0.4091 0.1874 0.6275  2 Re 2.43-2.46, 4 Br 2.44-2.56
Re 0.5909 0.8126 0.3725  2 Re 2.43-2.46, 4 Br 2.44-2.56
Re 0.7630 0.7630 0.1934  2 Re 2.46, 5 Br 2.48-2.74
Re 0.8126 0.5909 0.3725  2 Re 2.43-2.46, 4 Br 2.44-2.56
Br 0.0011 0.3218 0.4967  1 Re 2.50
Br 0.0035 0.4708 0.8116  2 Re 2.56
Br 0.0772 0.0772 0.7403  1 Re 2.48
Br 0.1589 0.1589 0.0369  1 Re 2.74
Br 0.2914 0.6081 0.7006  1 Re 2.44
Br 0.3218 0.0011 0.4967  1 Re 2.50
Br 0.3595 0.3595 0.4367  2 Re 2.56
Br 0.3692 0.3692 0.9550  1 Re 2.49
Br 0.3919 0.7086 0.2994  1 Re 2.44
Br 0.4708 0.0035 0.8116  2 Re 2.56
Br 0.5292 0.9965 0.1884  2 Re 2.56
Br 0.6081 0.2914 0.7006  1 Re 2.44
Br 0.6308 0.6308 0.0450  1 Re 2.49
Br 0.6405 0.6405 0.5633  2 Re 2.56
Br 0.6782 0.9989 0.5033  1 Re 2.50
Br 0.7086 0.3919 0.2994  1 Re 2.44
Br 0.8411 0.8411 0.9631  1 Re 2.74
Br 0.9228 0.9228 0.2597  1 Re 2.48
Br 0.9965 0.5292 0.1884  2 Re 2.56
Br 0.9989 0.6782 0.5033  1 Re 2.50

Output
Energy   -0.823 Ha/atom
Total magnetization   0.0 μB per formula unit

***

Entry from the Materials Project database: a relaxed structure of Li4VO3F2 (meta-GGA r2SCAN).

Cell: 5.3078 5.3078 7.7880 Å, 98.57 98.57 66.37°
Last column: nearest neighbours and their distance in Å.
Atoms (fractional coordinates):
Li 0.0679 0.7558 0.5556  3 O 1.92-2.03, 1 F 1.99
Li 0.1283 0.4712 0.8631  3 O 1.94-2.13, 2 F 1.97-1.99
Li 0.2442 0.9321 0.9444  3 O 1.92-2.03, 1 F 1.99
Li 0.4712 0.1283 0.3631  3 O 1.94-2.13, 2 F 1.97-1.99
Li 0.5288 0.8717 0.6369  3 O 1.94-2.13, 2 F 1.97-1.99
Li 0.7558 0.0679 0.0556  3 O 1.92-2.03, 1 F 1.99
Li 0.8717 0.5288 0.1369  3 O 1.94-2.13, 2 F 1.97-1.99
Li 0.9321 0.2442 0.4444  3 O 1.92-2.03, 1 F 1.99
V 0.3417 0.6583 0.2500  3 O 1.73-1.79
V 0.6583 0.3417 0.7500  3 O 1.73-1.79
O 0.0797 0.7334 0.0691  1 V 1.79, 3 Li 1.92-2.00
O 0.2666 0.9203 0.4309  1 V 1.79, 3 Li 1.92-2.00
O 0.3598 0.6402 0.7500  1 V 1.73
O 0.6402 0.3598 0.2500  1 V 1.73
O 0.7334 0.0797 0.5691  1 V 1.79, 3 Li 1.92-2.00
O 0.9203 0.2666 0.9309  1 V 1.79, 3 Li 1.92-2.00
F 0.1369 0.4714 0.3509  4 Li 1.97-2.17, 1 V 2.03
F 0.4714 0.1369 0.8509  4 Li 1.97-2.17, 1 V 2.03
F 0.5286 0.8631 0.1491  4 Li 1.97-2.17, 1 V 2.03
F 0.8631 0.5286 0.6491  4 Li 1.97-2.17, 1 V 2.03

Output
Energy   -0.275 Ha/atom
Total magnetization   1.0 μB per formula unit

***

Entry from the Materials Project database: a relaxed structure of GdAl2Ge2 (meta-GGA r2SCAN).

Cell: 4.2252 4.2252 6.7364 Å, 90.19 90.19 60.68°
Last column: nearest neighbours and their distance in Å.
Atoms (fractional coordinates):
Gd 0.0000 0.0000 0.0000  6 Ge 3.01-3.02
Al 0.3320 0.3320 0.3582  4 Ge 2.53-2.56
Al 0.6680 0.6680 0.6418  4 Ge 2.53-2.56
Ge 0.3327 0.3327 0.7380  4 Al 2.53-2.56
Ge 0.6673 0.6673 0.2620  4 Al 2.53-2.56

Output
Energy   -0.639 Ha/atom
Total magnetization   7.3 μB per formula unit

***

Entry from the Materials Project database: a relaxed structure of HfNiAs (meta-GGA r2SCAN).

Cell: 6.4140 3.8351 7.2644 Å, 90.00 90.00 90.00°
Last column: nearest neighbours and their distance in Å.
Atoms (fractional coordinates):
Hf 0.0126 0.2500 0.1863  5 As 2.74-2.77, 6 Ni 2.83-3.01
Hf 0.4874 0.7500 0.6863  5 As 2.74-2.77, 6 Ni 2.83-3.01
Hf 0.5126 0.2500 0.3137  5 As 2.74-2.77, 6 Ni 2.83-3.01
Hf 0.9874 0.7500 0.8137  5 As 2.74-2.77, 6 Ni 2.83-3.01
Ni 0.1685 0.2500 0.5766  4 As 2.35-2.48
Ni 0.3315 0.7500 0.0766  4 As 2.35-2.48
Ni 0.6685 0.2500 0.9234  4 As 2.35-2.48
Ni 0.8315 0.7500 0.4234  4 As 2.35-2.48
As 0.2164 0.7500 0.3943  4 Ni 2.35-2.48
As 0.2836 0.2500 0.8943  4 Ni 2.35-2.48
As 0.7164 0.7500 0.1057  4 Ni 2.35-2.48
As 0.7836 0.2500 0.6057  4 Ni 2.35-2.48

Output
Energy   -0.911 Ha/atom
Total magnetization   0.0 μB per formula unit